(1)
# CeNi2Sb2 r²SCAN optimized geometry
data_CeNi2Sb2
_chemical_formula_sum 'Ce2 Ni4 Sb4'
_symmetry_space_group_name_H-M 'P 1'
_symmetry_Int_Tables_number 1
_cell_length_a 4.501
_cell_length_b 4.501
_cell_length_c 9.823
_cell_angle_alpha 90.00
_cell_angle_beta 90.00
_cell_angle_gamma 90.00
loop_
_symmetry_equiv_pos_as_xyz
'x,y,z'
loop_
_atom_site_label
_atom_site_type_symbol
_atom_site_fract_x
_atom_site_fract_y
_atom_site_fract_z
Ce1 Ce 0.250 0.250 0.239
Ce2 Ce 0.750 0.750 0.761
Ni1 Ni 0.250 0.250 0.620
Ni2 Ni 0.250 0.750 0.000
Ni3 Ni 0.750 0.250 0.000
Ni4 Ni 0.750 0.750 0.380
Sb1 Sb 0.250 0.250 0.875
Sb2 Sb 0.250 0.750 0.500
Sb3 Sb 0.750 0.250 0.500
Sb4 Sb 0.750 0.750 0.125
# SG = P4/nmm, No. 129
# calculated formation energy = -0.685 eV/atom
# energy = -219.28 eV per cell

***

(2)
# Cs7Fe4S8 r²SCAN optimized geometry
data_Cs7Fe4S8
_chemical_formula_sum 'Cs14 Fe8 S16'
_symmetry_space_group_name_H-M 'P 1'
_symmetry_Int_Tables_number 1
_cell_length_a 10.473
_cell_length_b 10.473
_cell_length_c 16.890
_cell_angle_alpha 115.27
_cell_angle_beta 115.27
_cell_angle_gamma 49.45
loop_
_symmetry_equiv_pos_as_xyz
'x,y,z'
loop_
_atom_site_label
_atom_site_type_symbol
_atom_site_fract_x
_atom_site_fract_y
_atom_site_fract_z
Cs1 Cs 0.011 0.493 0.638
Cs2 Cs 0.014 0.518 0.892
Cs3 Cs 0.233 0.767 0.750
Cs4 Cs 0.243 0.747 0.511
Cs5 Cs 0.253 0.757 0.989
Cs6 Cs 0.482 0.986 0.608
Cs7 Cs 0.493 0.011 0.138
Cs8 Cs 0.507 0.989 0.862
Cs9 Cs 0.518 0.014 0.392
Cs10 Cs 0.747 0.243 0.011
Cs11 Cs 0.757 0.253 0.489
Cs12 Cs 0.767 0.233 0.250
Cs13 Cs 0.986 0.482 0.108
Cs14 Cs 0.989 0.507 0.362
Fe1 Fe 0.087 0.801 0.277
Fe2 Fe 0.199 0.913 0.223
Fe3 Fe 0.333 0.553 0.165
Fe4 Fe 0.447 0.667 0.335
Fe5 Fe 0.553 0.333 0.665
Fe6 Fe 0.667 0.447 0.835
Fe7 Fe 0.801 0.087 0.777
Fe8 Fe 0.913 0.199 0.723
S1 S 0.043 0.791 0.125
S2 S 0.118 0.141 0.186
S3 S 0.141 0.118 0.686
S4 S 0.209 0.957 0.375
S5 S 0.321 0.403 0.553
S6 S 0.327 0.512 0.291
S7 S 0.403 0.321 0.053
S8 S 0.488 0.673 0.209
S9 S 0.512 0.327 0.791
S10 S 0.597 0.679 0.947
S11 S 0.673 0.488 0.709
S12 S 0.679 0.597 0.447
S13 S 0.791 0.043 0.625
S14 S 0.859 0.882 0.314
S15 S 0.882 0.859 0.814
S16 S 0.957 0.209 0.875
# SG = C2/c, No. 15
# calculated formation energy = -1.085 eV/atom
# energy = -636.58 eV per cell

***

(3)
# GdMgNi4 r²SCAN optimized geometry
data_GdMgNi4
_chemical_formula_sum 'Gd1 Mg1 Ni4'
_symmetry_space_group_name_H-M 'P 1'
_symmetry_Int_Tables_number 1
_cell_length_a 4.924
_cell_length_b 4.924
_cell_length_c 4.924
_cell_angle_alpha 60.00
_cell_angle_beta 60.00
_cell_angle_gamma 60.00
loop_
_symmetry_equiv_pos_as_xyz
'x,y,z'
loop_
_atom_site_label
_atom_site_type_symbol
_atom_site_fract_x
_atom_site_fract_y
_atom_site_fract_z
Gd1 Gd 0.000 0.000 0.000
Mg1 Mg 0.750 0.750 0.750
Ni1 Ni 0.376 0.376 0.376
Ni2 Ni 0.376 0.376 0.871
Ni3 Ni 0.376 0.871 0.376
Ni4 Ni 0.871 0.376 0.376
# SG = F-43m, No. 216
# calculated formation energy = -0.311 eV/atom
# energy = -97.36 eV per cell